A geometry-optimized SmBeO3 structure. Source: Materials Project, functional GGA-PBE.

Cell lengths 3.627, 3.627, 3.627 Å; angles 90.00, 90.00, 90.00 degrees
Fractional coordinates of all 5 atoms:
Sm 0.000 0.000 0.000
Be 0.500 0.500 0.500
O 0.500 0.500 0.000
O 0.500 0.000 0.500
O 0.000 0.500 0.500

Properties
Crystal system: cubic
M_tot in μB per formula unit: 1.00

***

A geometry-optimized TlW3Br7 structure. Source: Materials Project, functional GGA-PBE.

Cell lengths 14.129, 14.415, 14.451 Å; angles 90.00, 90.00, 90.00 degrees
Fractional coordinates of all 88 atoms:
Tl 0.750 0.250 0.250
Tl 0.250 0.750 0.250
Tl 0.500 0.500 0.500
Tl 0.000 0.000 0.500
Tl 0.750 0.250 0.750
Tl 0.250 0.750 0.750
Tl 0.500 0.000 0.000
Tl 0.000 0.500 0.000
W 0.622 0.540 0.030
W 0.878 0.960 0.030
W 0.531 0.380 0.041
W 0.969 0.120 0.041
W 0.459 0.532 0.120
W 0.041 0.968 0.120
W 0.459 0.968 0.380
W 0.041 0.532 0.380
W 0.969 0.380 0.459
W 0.531 0.120 0.459
W 0.878 0.540 0.470
W 0.622 0.960 0.470
W 0.378 0.040 0.530
W 0.122 0.460 0.530
W 0.469 0.880 0.541
W 0.031 0.620 0.541
W 0.959 0.468 0.620
W 0.541 0.032 0.620
W 0.959 0.032 0.880
W 0.541 0.468 0.880
W 0.469 0.620 0.959
W 0.031 0.880 0.959
W 0.122 0.040 0.970
W 0.378 0.460 0.970
Br 0.306 0.612 0.048
Br 0.194 0.888 0.048
Br 0.794 0.594 0.072
Br 0.706 0.906 0.072
Br 0.575 0.210 0.097
Br 0.925 0.290 0.097
Br 0.551 0.691 0.108
Br 0.949 0.809 0.108
Br 0.367 0.371 0.131
Br 0.133 0.129 0.131
Br 0.888 0.047 0.191
Br 0.612 0.453 0.191
Br 0.097 0.576 0.211
Br 0.403 0.924 0.211
Br 0.403 0.576 0.289
Br 0.097 0.924 0.289
Br 0.612 0.047 0.309
Br 0.888 0.453 0.309
Br 0.367 0.129 0.369
Br 0.133 0.371 0.369
Br 0.949 0.691 0.392
Br 0.551 0.809 0.392
Br 0.925 0.210 0.403
Br 0.575 0.290 0.403
Br 0.706 0.594 0.428
Br 0.794 0.906 0.428
Br 0.194 0.612 0.452
Br 0.306 0.888 0.452
Br 0.694 0.112 0.548
Br 0.806 0.388 0.548
Br 0.206 0.094 0.572
Br 0.294 0.406 0.572
Br 0.425 0.710 0.597
Br 0.075 0.790 0.597
Br 0.449 0.191 0.608
Br 0.051 0.309 0.608
Br 0.867 0.629 0.631
Br 0.633 0.871 0.631
Br 0.112 0.547 0.691
Br 0.388 0.953 0.691
Br 0.903 0.076 0.711
Br 0.597 0.424 0.711
Br 0.597 0.076 0.789
Br 0.903 0.424 0.789
Br 0.388 0.547 0.809
Br 0.112 0.953 0.809
Br 0.867 0.871 0.869
Br 0.633 0.629 0.869
Br 0.051 0.191 0.892
Br 0.449 0.309 0.892
Br 0.075 0.710 0.903
Br 0.425 0.790 0.903
Br 0.294 0.094 0.928
Br 0.206 0.406 0.928
Br 0.806 0.112 0.952
Br 0.694 0.388 0.952

Properties
Crystal system: orthorhombic
M_tot in μB per formula unit: 0.00

***

A geometry-optimized Th6Mn23 structure. Source: Materials Project, functional GGA-PBE.

Cell lengths 8.596, 8.596, 8.596 Å; angles 60.00, 60.00, 60.00 degrees
Fractional coordinates of all 29 atoms:
Th 0.292 0.292 0.708
Th 0.292 0.708 0.708
Th 0.708 0.292 0.292
Th 0.292 0.708 0.292
Th 0.708 0.292 0.708
Th 0.708 0.708 0.292
Mn 0.000 0.000 0.000
Mn 0.500 0.500 0.000
Mn 0.000 0.500 0.500
Mn 0.500 0.000 0.000
Mn 0.000 0.000 0.500
Mn 0.000 0.500 0.000
Mn 0.500 0.000 0.500
Mn 0.882 0.353 0.882
Mn 0.118 0.118 0.647
Mn 0.647 0.118 0.118
Mn 0.118 0.118 0.118
Mn 0.353 0.882 0.882
Mn 0.882 0.882 0.882
Mn 0.882 0.882 0.353
Mn 0.118 0.647 0.118
Mn 0.681 0.958 0.681
Mn 0.319 0.319 0.042
Mn 0.042 0.319 0.319
Mn 0.319 0.319 0.319
Mn 0.958 0.681 0.681
Mn 0.681 0.681 0.681
Mn 0.681 0.681 0.958
Mn 0.319 0.042 0.319

Properties
Crystal system: cubic
M_tot in μB per formula unit: 26.88

***

A geometry-optimized MoW2S6 structure. Source: Materials Project, functional GGA-PBE.

Cell lengths 3.190, 3.190, 29.099 Å; angles 90.00, 90.00, 120.00 degrees
Fractional coordinates of all 9 atoms:
Mo 0.000 0.000 0.116
W 0.000 0.000 0.578
W 0.333 0.667 0.347
S 0.000 0.000 0.401
S 0.333 0.667 0.062
S 0.333 0.667 0.524
S 0.333 0.667 0.169
S 0.333 0.667 0.632
S 0.000 0.000 0.293

Properties
Crystal system: trigonal

***

A geometry-optimized Li4CO4 structure. Source: Materials Project, functional GGA-PBE.

Cell lengths 5.086, 5.086, 5.086 Å; angles 100.64, 100.64, 129.11 degrees
Fractional coordinates of all 9 atoms:
Li 0.195 0.195 0.659
Li 0.463 0.805 0.000
Li 0.805 0.463 0.000
Li 0.537 0.537 0.341
C 0.000 0.000 0.000
O 0.067 0.316 0.000
O 0.933 0.933 0.249
O 0.684 0.684 0.751
O 0.316 0.067 0.000

Properties
Largest piezoelectric modulus in C/m2: 0.26
Crystal system: tetragonal
M_tot in μB per formula unit: 0.00

***

A geometry-optimized BaP4PtO14 structure. Source: Materials Project, functional GGA-PBE.

Cell lengths 21.155, 8.320, 9.553 Å; angles 89.16, 90.00, 90.00 degrees
Fractional coordinates of all 80 atoms:
Ba 0.412 0.187 0.514
Ba 0.912 0.313 0.486
Ba 0.588 0.813 0.486
Ba 0.088 0.687 0.514
P 0.628 0.255 0.222
P 0.128 0.245 0.778
P 0.372 0.745 0.778
P 0.872 0.755 0.222
P 0.566 0.152 0.736
P 0.066 0.348 0.264
P 0.434 0.848 0.264
P 0.934 0.652 0.736
P 0.375 0.410 0.873
P 0.875 0.090 0.127
P 0.625 0.590 0.127
P 0.125 0.910 0.873
P 0.414 0.479 0.239
P 0.914 0.021 0.761
P 0.586 0.521 0.761
P 0.086 0.979 0.239
Pt 0.455 0.403 0.025
Pt 0.955 0.097 0.975
Pt 0.545 0.597 0.975
Pt 0.045 0.903 0.025
O 0.652 0.401 0.125
O 0.152 0.099 0.875
O 0.348 0.599 0.875
O 0.848 0.901 0.125
O 0.557 0.344 0.736
O 0.057 0.156 0.264
O 0.443 0.656 0.264
O 0.943 0.844 0.736
O 0.591 0.301 0.345
O 0.091 0.199 0.655
O 0.409 0.699 0.655
O 0.909 0.801 0.345
O 0.649 0.098 0.173
O 0.149 0.402 0.827
O 0.351 0.902 0.827
O 0.851 0.598 0.173
O 0.594 0.082 0.863
O 0.094 0.418 0.137
O 0.406 0.918 0.137
O 0.906 0.582 0.863
O 0.506 0.092 0.667
O 0.006 0.408 0.333
O 0.494 0.908 0.333
O 0.994 0.592 0.667
O 0.385 0.362 0.725
O 0.885 0.138 0.275
O 0.615 0.638 0.275
O 0.115 0.862 0.725
O 0.341 0.307 0.979
O 0.841 0.193 0.021
O 0.659 0.693 0.021
O 0.159 0.807 0.979
O 0.346 0.462 0.265
O 0.846 0.038 0.735
O 0.654 0.538 0.735
O 0.154 0.962 0.265
O 0.461 0.363 0.309
O 0.961 0.137 0.691
O 0.539 0.637 0.691
O 0.039 0.863 0.309
O 0.283 0.588 0.536
O 0.783 0.912 0.464
O 0.717 0.412 0.464
O 0.217 0.088 0.536
O 0.248 0.021 0.629
O 0.748 0.479 0.371
O 0.752 0.979 0.371
O 0.252 0.521 0.629
O 0.323 0.889 0.390
O 0.823 0.611 0.610
O 0.677 0.111 0.610
O 0.177 0.389 0.390
O 0.386 0.882 0.410
O 0.886 0.618 0.590
O 0.614 0.118 0.590
O 0.114 0.382 0.410

Properties
Crystal system: monoclinic
M_tot in μB per formula unit: 3.00

***

A geometry-optimized Ce14Y18O55 structure. Source: Materials Project, functional GGA-PBE.

Cell lengths 9.400, 9.408, 15.332 Å; angles 90.02, 90.25, 109.53 degrees
Fractional coordinates of all 87 atoms:
Ce 0.874 0.153 0.130
Ce 0.385 0.626 0.871
Ce 0.114 0.872 0.635
Ce 0.020 0.495 0.756
Ce 0.893 0.134 0.614
Ce 0.748 0.746 0.500
Ce 0.019 0.513 0.508
Ce 0.118 0.874 0.877
Ce 0.631 0.357 0.614
Ce 0.256 0.256 0.002
Ce 0.401 0.637 0.119
Ce 0.509 0.007 0.000
Ce 0.589 0.361 0.373
Ce 0.137 0.864 0.117
Y 0.745 0.745 0.753
Y 0.883 0.137 0.889
Y 0.382 0.659 0.628
Y 0.525 0.004 0.496
Y 0.236 0.244 0.252
Y 0.379 0.641 0.389
Y 0.604 0.351 0.873
Y 0.478 0.005 0.748
Y 0.746 0.760 0.986
Y 0.023 0.504 0.000
Y 0.236 0.240 0.760
Y 0.108 0.847 0.371
Y 0.984 0.513 0.237
Y 0.233 0.262 0.482
Y 0.883 0.097 0.369
Y 0.732 0.727 0.260
Y 0.607 0.363 0.139
Y 0.526 0.996 0.256
O 0.863 0.398 0.876
O 0.520 0.781 0.747
O 0.628 0.112 0.869
O 0.640 0.602 0.873
O 0.622 0.585 0.632
O 0.500 0.270 0.737
O 0.358 0.900 0.613
O 0.469 0.240 0.504
O 0.364 0.893 0.378
O 0.256 0.999 0.001
O 0.002 0.281 0.255
O 0.109 0.596 0.370
O 0.233 0.995 0.754
O 0.506 0.762 0.993
O 0.367 0.367 0.878
O 0.142 0.135 0.610
O 0.019 0.766 0.505
O 0.136 0.096 0.371
O 0.109 0.089 0.138
O 0.264 0.494 0.743
O 0.262 0.502 0.515
O 0.002 0.769 0.236
O 0.366 0.877 0.875
O 0.125 0.121 0.884
O 0.859 0.398 0.112
O 0.983 0.744 0.005
O 0.014 0.262 0.007
O 0.139 0.624 0.874
O 0.130 0.634 0.633
O 0.763 0.476 0.488
O 0.985 0.230 0.751
O 0.741 0.480 0.265
O 0.861 0.893 0.863
O 0.869 0.889 0.639
O 0.864 0.850 0.378
O 0.991 0.269 0.484
O 0.653 0.632 0.115
O 0.514 0.264 0.004
O 0.769 0.998 0.498
O 0.765 0.983 0.240
O 0.878 0.390 0.634
O 0.978 0.720 0.755
O 0.767 0.002 0.015
O 0.614 0.614 0.386
O 0.648 0.119 0.630
O 0.514 0.762 0.507
O 0.657 0.148 0.375
O 0.631 0.130 0.130
O 0.484 0.725 0.252
O 0.351 0.393 0.361
O 0.362 0.388 0.138
O 0.270 0.509 0.997
O 0.378 0.888 0.132
O 0.465 0.215 0.255
O 0.149 0.619 0.130

Properties
Crystal system: triclinic
M_tot in μB per formula unit: 0.00

***

A geometry-optimized Cs3IO5 structure. Source: Materials Project, functional GGA-PBE.

Cell lengths 9.116, 9.521, 9.704 Å; angles 90.00, 90.00, 90.00 degrees
Fractional coordinates of all 36 atoms:
Cs 0.250 0.000 0.479
Cs 0.750 0.000 0.521
Cs 0.250 0.500 0.021
Cs 0.750 0.500 0.979
Cs 0.250 0.000 0.017
Cs 0.750 0.000 0.983
Cs 0.250 0.500 0.483
Cs 0.750 0.500 0.517
Cs 0.536 0.250 0.250
Cs 0.464 0.750 0.750
Cs 0.964 0.750 0.250
Cs 0.036 0.250 0.750
I 0.012 0.250 0.250
I 0.988 0.750 0.750
I 0.488 0.750 0.250
I 0.512 0.250 0.750
O 0.214 0.250 0.250
O 0.786 0.750 0.750
O 0.286 0.750 0.250
O 0.714 0.250 0.750
O 0.538 0.559 0.235
O 0.462 0.441 0.765
O 0.962 0.441 0.235
O 0.962 0.059 0.265
O 0.038 0.559 0.765
O 0.038 0.941 0.735
O 0.538 0.941 0.265
O 0.462 0.059 0.735
O 0.482 0.266 0.559
O 0.518 0.734 0.441
O 0.018 0.734 0.559
O 0.018 0.766 0.941
O 0.982 0.266 0.441
O 0.982 0.234 0.059
O 0.482 0.234 0.941
O 0.518 0.766 0.059

Properties
Crystal system: orthorhombic
M_tot in μB per formula unit: 0.00

***

DFT formation energy list, top to bottom, in kJ/mol of formula units: -1393 -962 154 -1014 -1772 -2904 -32887 -1295